Entry 1:
BePbF4 | PBE | relaxed

Computed properties:
raw total energy	-5.285	eV per atom

Lattice parameters (Å, degrees): 8.9922 5.4101 7.2995 90.00 90.00 90.00
With the nearest neighbours (Å) after each atom.
Space group Pnma (No. 62)
Inequivalent atoms, fractional coordinates:
Be (0.1312, 0.2500, 0.2452) x4  4 F 1.55-1.56
Pb (0.1708, 0.2500, 0.7230) x4  3 F 2.35-2.40
F (0.0482, 0.0049, 0.2865) x8  1 Be 1.55
F (0.1905, 0.2500, 0.0443) x4  1 Be 1.56
F (0.2277, 0.7500, 0.8703) x4  1 Be 1.56

---

Entry 2:
BePbF4 | PBE | relaxed

Computed properties:
raw total energy	-5.309	eV per atom

Lattice parameters (Å, degrees): 9.2362 5.4457 7.3673 90.00 90.00 90.00
With the nearest neighbours (Å) after each atom.
Space group Pnma (No. 62)
Inequivalent atoms, fractional coordinates:
Be (0.0774, 0.2500, 0.2450) x4  4 F 1.55-1.58
Pb (0.2146, 0.2500, 0.7509) x4  4 F 2.34-2.48
F (0.0125, 0.5095, 0.7648) x8  1 Be 1.55
F (0.1719, 0.2500, 0.4228) x4  1 Be 1.57
F (0.1926, 0.2500, 0.0865) x4  1 Be 1.58

---

Entry 3:
RbBe2F5 | PBE | relaxed

Computed properties:
piezoelectric modulus e_max	0.19	C/m2
raw total energy	-5.433	eV per atom

Lattice parameters (Å, degrees): 4.7221 4.7387 6.2122 91.05 91.32 119.54
With the nearest neighbours (Å) after each atom.
Space group P1 (No. 1)
Inequivalent atoms, fractional coordinates:
Rb (0.0000, 0.0000, 0.0000) x1  6 F 2.84-3.00
Be (0.3129, 0.6915, 0.4065) x1  4 F 1.51-1.59
Be (0.6394, 0.3527, 0.5901) x1  4 F 1.51-1.59
F (0.3528, 0.0356, 0.4727) x1  2 Be 1.59
F (0.3572, 0.6672, 0.1686) x1  1 Be 1.51
F (0.5644, 0.6415, 0.5516) x1  2 Be 1.59
F (0.6679, 0.3138, 0.8283) x1  1 Be 1.51
F (0.9581, 0.4278, 0.4690) x1  2 Be 1.58

---

Entry 4:
Rb2Be3Zn2F12 | PBE | relaxed

Computed properties:
raw total energy	-4.921	eV per atom

Lattice parameters (Å, degrees): 10.1936 10.1936 10.1936 90.00 90.00 90.00
With the nearest neighbours (Å) after each atom.
Space group P2_13 (No. 198)
Inequivalent atoms, fractional coordinates:
Rb (0.0485, 0.0485, 0.0485) x4  6 F 2.90-3.09
Rb (0.1841, 0.3159, 0.6841) x4  12 F 2.95-3.26
Be (0.0198, 0.2147, 0.3756) x12  4 F 1.55-1.57
Zn (0.0978, 0.9022, 0.4022) x4  6 F 2.05-2.08
Zn (0.1653, 0.6653, 0.8347) x4  6 F 2.04-2.07
F (0.0041, 0.5622, 0.7659) x12  1 Be 1.57
F (0.0119, 0.0688, 0.3297) x12  1 Be 1.56
F (0.0455, 0.8058, 0.2299) x12  1 Be 1.57
F (0.0978, 0.8365, 0.7561) x12  1 Be 1.55